(1)
A relaxed structure of Be3P2, computed with GGA-PBE.

## Properties
For the energy relative to the lowest polymorph listed for this composition, the calculation gives 84 meV per atom. As for the formation energy: -149 meV per atom. Its total magnetization is 0.0 μB per formula unit. The value obtained for the raw total energy is -4.5577 eV per atom.

abc: 12.4968 12.4968 12.4968
angles: 131.65 131.65 70.78
Positions (direct):
Be 0.8284 0.8182 0.2731
Be 0.5682 0.7951 0.4898
Be 0.3053 0.0784 0.5102
Be 0.4216 0.1947 0.4898
Be 0.7049 0.9318 0.5102
Be 0.9447 0.9549 0.2731
Be 0.6818 0.6716 0.7269
Be 0.5451 0.5553 0.7269
Be 0.9216 0.4318 0.2269
Be 0.1818 0.4549 0.0102
Be 0.4447 0.1716 0.9898
Be 0.3284 0.0553 0.0102
Be 0.0451 0.3182 0.9898
Be 0.8053 0.2951 0.2269
Be 0.0682 0.5784 0.7731
Be 0.2049 0.6947 0.7731
Be 0.8101 0.0770 0.5025
Be 0.8270 0.8245 0.7669
Be 0.0576 0.0601 0.2331
Be 0.4399 0.4424 0.7669
Be 0.6755 0.6730 0.2331
Be 0.1924 0.9255 0.5025
Be 0.4230 0.6899 0.4975
Be 0.5745 0.3076 0.4975
Be 0.9399 0.1730 0.9975
Be 0.9230 0.4255 0.7331
Be 0.6924 0.1899 0.2669
Be 0.3101 0.8076 0.7331
Be 0.0745 0.5770 0.2669
Be 0.5576 0.3245 0.9975
Be 0.3270 0.5601 0.0025
Be 0.1755 0.9424 0.0025
Be 0.5552 0.8140 0.0081
Be 0.5640 0.0560 0.7588
Be 0.2972 0.8052 0.2412
Be 0.6948 0.2028 0.7588
Be 0.4440 0.9360 0.2412
Be 0.9528 0.6940 0.0081
Be 0.6860 0.9448 0.9919
Be 0.8060 0.5472 0.9919
Be 0.1948 0.4360 0.4919
Be 0.1860 0.1940 0.7412
Be 0.4528 0.4448 0.2588
Be 0.0552 0.0472 0.7412
Be 0.3060 0.3140 0.2588
Be 0.7972 0.5560 0.4919
Be 0.0640 0.3052 0.5081
Be 0.9440 0.7028 0.5081
P 0.0000 0.0000 0.0000
P 0.7500 0.2500 0.5000
P 0.2500 0.7500 0.5000
P 0.5000 0.5000 0.0000
P 0.7500 0.7500 0.0000
P 0.5000 0.0000 0.5000
P 0.0000 0.5000 0.5000
P 0.2500 0.2500 0.0000
P 0.3750 0.6250 0.7500
P 0.3750 0.1250 0.7500
P 0.3750 0.6250 0.2500
P 0.8750 0.1250 0.7500
P 0.3750 0.1250 0.2500
P 0.8750 0.6250 0.7500
P 0.8750 0.1250 0.2500
P 0.8750 0.6250 0.2500
P 0.6250 0.8610 0.7360
P 0.6110 0.3750 0.7360
P 0.6390 0.8750 0.2640
P 0.1250 0.8890 0.2640
P 0.1250 0.3890 0.7640
P 0.1390 0.8750 0.7640
P 0.1110 0.3750 0.2360
P 0.6250 0.3610 0.2360
P 0.0071 0.0071 0.5142
P 0.7571 0.7429 0.5000
P 0.2429 0.2571 0.5000
P 0.4929 0.4929 0.4858
P 0.7429 0.2429 0.9858
P 0.9929 0.5071 0.0000
P 0.5071 0.9929 0.0000
P 0.2571 0.7571 0.0142

---

(2)
A relaxed structure of Nd10Ti12O39, computed with GGA-PBE.

## Properties
As for the formation energy: -3552 meV per atom. The calculation puts the energy with MP2020 corrections at -9.05 eV per atom. Its total magnetization is 0.0 μB per formula unit. The value obtained for the raw total energy is -8.6111 eV per atom.

abc: 7.2730 10.2913 12.5306
angles: 113.60 106.81 88.93
Positions (direct):
Nd 0.6384 0.1743 0.8294
Nd 0.8356 0.8346 0.6807
Nd 0.0053 0.4922 0.5091
Nd 0.3471 0.8295 0.6872
Nd 0.1595 0.1573 0.3238
Nd 0.4942 0.9858 0.4934
Nd 0.3547 0.8307 0.1490
Nd 0.6679 0.1676 0.3357
Nd 0.8183 0.3522 0.1710
Nd 0.0246 0.5067 0.9795
Ti 0.9854 0.9997 0.9959
Ti 0.4960 0.0068 0.0051
Ti 0.3324 0.3353 0.6675
Ti 0.4934 0.5045 0.5000
Ti 0.6583 0.6602 0.8384
Ti 0.8247 0.3363 0.6659
Ti 0.6753 0.6669 0.3364
Ti 0.1659 0.1696 0.8405
Ti 0.8435 0.8292 0.1677
Ti 0.0025 0.0038 0.5056
Ti 0.1669 0.6735 0.3304
Ti 0.3219 0.3360 0.1665
O 0.3270 0.2562 0.7831
O 0.7768 0.6671 0.0007
O 0.7525 0.1054 0.0020
O 0.8758 0.8210 0.8717
O 0.8506 0.5215 0.7947
O 0.7105 0.6109 0.4831
O 0.9320 0.2858 0.8182
O 0.0718 0.3864 0.6527
O 0.2606 0.9470 0.0126
O 0.0860 0.9831 0.6626
O 0.3827 0.0584 0.8663
O 0.0169 0.9455 0.1313
O 0.2158 0.1301 0.5248
O 0.1764 0.8522 0.4545
O 0.2743 0.6145 0.4806
O 0.4614 0.5141 0.7848
O 0.4977 0.8159 0.8731
O 0.5851 0.6619 0.6694
O 0.4161 0.0233 0.3176
O 0.5793 0.9559 0.6768
O 0.4206 0.7317 0.3381
O 0.5799 0.2451 0.6619
O 0.4142 0.3494 0.3366
O 0.5210 0.1973 0.1390
O 0.7100 0.3851 0.5317
O 0.5519 0.4794 0.2155
O 0.9796 0.0553 0.8602
O 0.6262 0.9401 0.1288
O 0.7775 0.8579 0.4719
O 0.8131 0.1355 0.5322
O 0.9159 0.9942 0.3304
O 0.9140 0.3046 0.3350
O 0.9220 0.5918 0.3321
O 0.0780 0.7300 0.1926
O 0.3136 0.3880 0.5295
O 0.1184 0.2005 0.1414
O 0.1184 0.4722 0.1762
O 0.2507 0.3182 0.9964
O 0.6641 0.7400 0.2115

---

(3)
A relaxed structure of SmNbO2, computed with GGA-PBE.

## Properties
As for the formation energy: -2376 meV per atom. The calculation puts the energy with MP2020 corrections at -8.56 eV per atom. Its total magnetization is 0.1 μB per formula unit. The value obtained for the raw total energy is -8.2118 eV per atom.

abc: 7.4339 7.4339 7.4339
angles: 129.98 129.98 73.44
Positions (direct):
Sm 0.8750 0.6250 0.2500
Sm 0.3750 0.6250 0.7500
Sm 0.3750 0.6250 0.2500
Sm 0.3750 0.1250 0.7500
Nb 0.3750 0.1250 0.2500
Nb 0.8750 0.1250 0.7500
Nb 0.8750 0.1250 0.2500
Nb 0.8750 0.6250 0.7500
O 0.1759 0.3984 0.2225
O 0.1759 0.9534 0.7775
O 0.1484 0.4259 0.7225
O 0.5741 0.8516 0.2775
O 0.7034 0.4259 0.2775
O 0.5741 0.2966 0.7225
O 0.6016 0.8241 0.7775
O 0.0466 0.8241 0.2225

---

(4)
A relaxed structure of LaEr4Se7, computed with GGA-PBE.

## Properties
As for the formation energy: -2118 meV per atom. The calculation puts the energy with MP2020 corrections at -6.09 eV per atom. Its total magnetization is 0.0 μB per formula unit. The value obtained for the raw total energy is -5.8155 eV per atom.

abc: 3.9749 7.0587 12.2346
angles: 103.86 90.00 73.65
Positions (direct):
La 0.8875 0.2249 0.4216
Er 0.1129 0.7743 0.5816
Er 0.0004 0.9992 0.9979
Er 0.7000 0.6000 0.1858
Er 0.3003 0.3994 0.8136
Se 0.0463 0.9074 0.2073
Se 0.9577 0.0845 0.7853
Se 0.3418 0.3164 0.0491
Se 0.6600 0.6801 0.9497
Se 0.7357 0.5286 0.6554
Se 0.2501 0.4997 0.3478
Se 0.5073 0.9855 0.5049